(1)
Compound: BaTiB2O6
Source: the Materials Project database
Functional: PBE-GGA
Structure: relaxed

Cell: 5.0743 5.0743 16.8183 Å, 90.00 90.00 120.00°
With the nearest neighbours (Å) after each atom.
Space group R-3 (No. 148, hexagonal axes)
Asymmetric unit:
Ba 0.0000 0.0000 0.0000 x3  6 O 2.81
Ti 0.0000 0.0000 0.5000 x3  6 O 1.97
B 0.0000 0.0000 0.2328 x6  3 O 1.38
O 0.0245 0.4627 0.9025 x18  1 B 1.38

**Electronic total energy**: -8.098 eV/atom

(2)
Compound: LiY9Si6O26
Source: the Materials Project database
Functional: PBE-GGA
Structure: relaxed

Cell: 9.4548 9.4548 6.7819 Å, 90.00 90.00 120.00°
With the nearest neighbours (Å) after each atom.
Space group P3 (No. 143)
Asymmetric unit:
Li 0.0000 0.0000 0.0000 x1  3 O 2.26
Y 0.0000 0.0000 0.4753 x1  6 O 2.33-2.39
Y 0.0978 0.4295 0.2254 x3  6 O 2.23-2.45
Y 0.1006 0.6692 0.7280 x3  6 O 2.21-2.43
Y 0.6667 0.3333 0.4787 x1  6 O 2.31-2.41
Y 0.6667 0.3333 0.9750 x1  6 O 2.31-2.40
Si 0.3037 0.0400 0.7271 x3  4 O 1.63-1.65
Si 0.3592 0.2942 0.2274 x3  4 O 1.61-1.66
O 0.0185 0.8370 0.2309 x3  1 Si 1.61
O 0.0829 0.3270 0.5338 x3  1 Si 1.65
O 0.0883 0.3443 0.9112 x3  1 Si 1.64
O 0.2070 0.1420 0.7170 x3  1 Si 1.63
O 0.3333 0.6667 0.2253 x1  3 Y 2.23
O 0.3333 0.6667 0.7187 x1  3 Y 2.21
O 0.4269 0.4158 0.0341 x3  1 Si 1.65
O 0.4310 0.4195 0.4184 x3  1 Si 1.65
O 0.4637 0.1961 0.2264 x3  1 Si 1.66
O 0.5023 0.1635 0.7270 x3  1 Si 1.64

**Electronic total energy**: -8.513 eV/atom

Number 1: energy of formation from the pure elements -3.22 eV per atom. Number 2: energy of formation from the pure elements -3.67 eV per atom.